{"formula": "Nd3P6Pd20", "functional": "PBE-GGA", "state": "relaxed", "lattice_angstrom": [[4.960, -6.768, -2.500], [-1.618, -8.010, 3.143], [-3.333, -6.169, -5.243]], "species": ["P", "P", "P", "P", "P", "P", "Pd", "Pd", "Pd", "Pd", "Pd", "Pd", "Pd", "Pd", "Pd", "Pd", "Pd", "Pd", "Pd", "Pd", "Pd", "Pd", "Pd", "Pd", "Pd", "Pd", "Nd", "Nd", "Nd"], "frac_coords": [[0.262, 0.738, 0.738], [0.738, 0.262, 0.262], [0.262, 0.262, 0.738], [0.262, 0.738, 0.262], [0.738, 0.738, 0.262], [0.738, 0.262, 0.738], [0.653, 0.000, 0.000], [0.000, 0.000, 0.653], [0.347, 0.000, 0.653], [0.653, 0.000, 0.347], [0.614, 0.614, 0.614], [0.653, 0.347, 0.000], [0.000, 0.653, 0.000], [0.386, 0.841, 0.386], [0.841, 0.386, 0.386], [0.000, 0.347, 0.000], [0.000, 0.653, 0.347], [0.347, 0.653, 0.000], [0.614, 0.159, 0.614], [0.159, 0.614, 0.614], [0.386, 0.386, 0.386], [0.386, 0.386, 0.841], [0.000, 0.000, 0.347], [0.614, 0.614, 0.159], [0.347, 0.000, 0.000], [0.000, 0.347, 0.653], [0.250, 0.250, 0.250], [0.750, 0.750, 0.750], [0.000, 0.000, 0.000]], "formation_enthalpy_0k_kj_per_mol_atoms": -67.7, "mass_density_g_cm3": 9.61}